The following is a GGA+U calculation of Li2Co3O6 after structural relaxation, from the Materials Project.

Cell lengths 5.097, 5.097, 10.206 Å; angles 90.00, 90.00, 119.19 degrees
Fractional coordinates of all 22 atoms:
1 Li 0.154 0.654 0.750
2 Li 0.346 0.846 0.250
3 Li 0.654 0.154 0.750
4 Li 0.846 0.346 0.250
5 Co 0.000 0.000 0.000
6 Co 0.500 0.500 0.500
7 Co 0.332 0.668 0.000
8 Co 0.832 0.168 0.500
9 Co 0.168 0.832 0.500
10 Co 0.668 0.332 0.000
11 O 0.168 0.168 0.592
12 O 0.332 0.332 0.092
13 O 0.668 0.668 0.908
14 O 0.974 0.331 0.891
15 O 0.832 0.832 0.408
16 O 0.169 0.526 0.391
17 O 0.474 0.831 0.609
18 O 0.669 0.026 0.109
19 O 0.026 0.669 0.109
20 O 0.331 0.974 0.891
21 O 0.526 0.169 0.391
22 O 0.831 0.474 0.609

* total energy: -123.057 eV/cell
* E above lowest polymorph: 0.1473 eV per atom
* energy of formation: -1430 meV per atom

The following is a GGA+U calculation of Li3Co4O8 after structural relaxation, from the Materials Project.

Cell lengths 5.747, 5.747, 5.747 Å; angles 60.30, 60.30, 60.30 degrees
Fractional coordinates of all 15 atoms:
1 Li 0.000 0.000 0.500
2 Li 0.500 0.000 0.000
3 Li 0.000 0.500 0.000
4 Co 0.500 0.000 0.500
5 Co 0.000 0.500 0.500
6 Co 0.500 0.500 0.000
7 Co 0.500 0.500 0.500
8 O 0.737 0.737 0.737
9 O 0.267 0.267 0.719
10 O 0.267 0.719 0.267
11 O 0.281 0.733 0.733
12 O 0.719 0.267 0.267
13 O 0.733 0.281 0.733
14 O 0.733 0.733 0.281
15 O 0.263 0.263 0.263

* total energy: -85.520 eV/cell
* E above lowest polymorph: 0.0000 eV per atom
* energy of formation: -1588 meV per atom

The following is a GGA+U calculation of Li3Co4O8 after structural relaxation, from the Materials Project.

Cell lengths 5.769, 5.769, 5.694 Å; angles 62.02, 62.02, 92.91 degrees
Fractional coordinates of all 15 atoms:
1 Li 0.000 0.500 0.500
2 Li 0.500 0.000 0.500
3 Li 0.500 0.500 0.500
4 Co 0.000 0.000 0.500
5 Co 0.000 0.500 0.000
6 Co 0.000 0.000 0.000
7 Co 0.500 0.000 0.000
8 O 0.211 0.211 0.552
9 O 0.223 0.777 0.000
10 O 0.225 0.225 0.032
11 O 0.225 0.775 0.500
12 O 0.775 0.225 0.500
13 O 0.775 0.775 0.968
14 O 0.777 0.223 0.000
15 O 0.789 0.789 0.448

* total energy: -84.540 eV/cell
* E above lowest polymorph: 0.0654 eV per atom
* energy of formation: -1523 meV per atom

The following is a GGA+U calculation of LiCo2O4 after structural relaxation, from the Materials Project.

Cell lengths 4.881, 5.780, 5.939 Å; angles 60.88, 105.63, 90.00 degrees
Fractional coordinates of all 14 atoms:
1 Li 0.021 0.500 0.003
2 Li 0.979 0.003 0.997
3 Co 0.500 0.250 0.500
4 Co 0.500 0.744 0.500
5 Co 0.000 0.004 0.500
6 Co 0.000 0.498 0.500
7 O 0.746 0.909 0.708
8 O 0.740 0.379 0.709
9 O 0.254 0.117 0.292
10 O 0.260 0.588 0.291
11 O 0.772 0.346 0.306
12 O 0.779 0.855 0.301
13 O 0.228 0.152 0.694
14 O 0.221 0.655 0.699

* total energy: -80.287 eV/cell
* E above lowest polymorph: 0.0493 eV per atom
* energy of formation: -1464 meV per atom

The following is a GGA+U calculation of Li10Co4O9 after structural relaxation, from the Materials Project.

Cell lengths 9.822, 9.822, 4.700 Å; angles 90.00, 90.00, 90.00 degrees
Fractional coordinates of all 46 atoms:
1 Li 0.750 0.750 0.082
2 Li 0.250 0.250 0.918
3 Li 0.250 0.250 0.418
4 Li 0.750 0.750 0.582
5 Li 0.895 0.937 0.040
6 Li 0.605 0.563 0.040
7 Li 0.395 0.063 0.960
8 Li 0.105 0.437 0.960
9 Li 0.063 0.105 0.460
10 Li 0.437 0.395 0.460
11 Li 0.937 0.605 0.540
12 Li 0.563 0.895 0.540
13 Li 0.105 0.063 0.960
14 Li 0.395 0.437 0.960
15 Li 0.605 0.937 0.040
16 Li 0.895 0.563 0.040
17 Li 0.937 0.895 0.540
18 Li 0.563 0.605 0.540
19 Li 0.063 0.395 0.460
20 Li 0.437 0.105 0.460
21 Co 0.089 0.750 0.019
22 Co 0.411 0.750 0.019
23 Co 0.589 0.250 0.981
24 Co 0.911 0.250 0.981
25 Co 0.250 0.911 0.481
26 Co 0.250 0.589 0.481
27 Co 0.750 0.411 0.519
28 Co 0.750 0.089 0.519
29 O 0.077 0.923 0.250
30 O 0.423 0.577 0.250
31 O 0.577 0.077 0.750
32 O 0.923 0.423 0.750
33 O 0.923 0.077 0.750
34 O 0.577 0.423 0.750
35 O 0.423 0.923 0.250
36 O 0.077 0.577 0.250
37 O 0.750 0.250 0.250
38 O 0.250 0.750 0.750
39 O 0.092 0.250 0.177
40 O 0.408 0.250 0.177
41 O 0.592 0.750 0.823
42 O 0.908 0.750 0.823
43 O 0.750 0.908 0.323
44 O 0.750 0.592 0.323
45 O 0.250 0.408 0.677
46 O 0.250 0.092 0.677

* total energy: -240.475 eV/cell
* E above lowest polymorph: 0.0000 eV per atom
* energy of formation: -1779 meV per atom

The following is a GGA+U calculation of LiCo3O4 after structural relaxation, from the Materials Project.

Cell lengths 5.240, 5.240, 5.240 Å; angles 132.89, 132.89, 68.82 degrees
Fractional coordinates of all 8 atoms:
1 Li 0.000 0.000 0.000
2 Co 0.250 0.750 0.500
3 Co 0.500 0.500 0.000
4 Co 0.750 0.250 0.500
5 O 0.000 0.500 0.500
6 O 0.267 0.267 0.000
7 O 0.500 0.000 0.500
8 O 0.733 0.733 0.000

* total energy: -45.930 eV/cell
* E above lowest polymorph: 0.0875 eV per atom
* energy of formation: -1321 meV per atom

The following is a GGA+U calculation of Li17Co8O18 after structural relaxation, from the Materials Project.

Cell lengths 7.611, 7.759, 9.583 Å; angles 92.30, 103.22, 118.85 degrees
Fractional coordinates of all 43 atoms:
1 Li 0.811 0.855 0.132
2 Li 0.472 0.379 0.106
3 Li 0.636 0.079 0.125
4 Li 0.404 0.650 0.149
5 Li 0.952 0.143 0.336
6 Li 0.836 0.376 0.402
7 Li 0.496 0.926 0.377
8 Li 0.237 0.537 0.360
9 Li 0.758 0.449 0.629
10 Li 0.498 0.072 0.621
11 Li 0.158 0.627 0.598
12 Li 0.052 0.868 0.658
13 Li 0.876 0.708 0.858
14 Li 0.587 0.334 0.849
15 Li 0.354 0.912 0.880
16 Li 0.517 0.618 0.894
17 Li 0.192 0.153 0.872
18 Co 0.937 0.521 0.118
19 Co 0.232 0.958 0.146
20 Co 0.717 0.704 0.391
21 Co 0.371 0.234 0.365
22 Co 0.628 0.768 0.633
23 Co 0.291 0.307 0.611
24 Co 0.762 0.042 0.858
25 Co 0.069 0.469 0.879
26 O 0.752 0.588 0.023
27 O 0.383 0.105 0.031
28 O 0.889 0.327 0.220
29 O 0.687 0.887 0.290
30 O 0.226 0.729 0.205
31 O 0.442 0.477 0.290
32 O 0.103 0.047 0.252
33 O 0.899 0.643 0.494
34 O 0.581 0.204 0.460
35 O 0.419 0.796 0.540
36 O 0.106 0.362 0.508
37 O 0.896 0.939 0.764
38 O 0.577 0.531 0.713
39 O 0.776 0.268 0.792
40 O 0.314 0.118 0.710
41 O 0.085 0.675 0.787
42 O 0.610 0.892 0.969
43 O 0.280 0.434 0.961

* total energy: -226.083 eV/cell
* energy of formation: -1702 meV per atom

The following is a GGA+U calculation of LiCo6O7 after structural relaxation, from the Materials Project.

Cell lengths 5.202, 5.202, 5.202 Å; angles 99.27, 99.27, 99.27 degrees
Fractional coordinates of all 14 atoms:
1 Li 0.000 0.000 0.000
2 Co 0.283 0.140 0.571
3 Co 0.140 0.571 0.283
4 Co 0.429 0.717 0.860
5 Co 0.571 0.283 0.140
6 Co 0.717 0.860 0.429
7 Co 0.860 0.429 0.717
8 O 0.071 0.779 0.634
9 O 0.500 0.500 0.500
10 O 0.221 0.366 0.929
11 O 0.929 0.221 0.366
12 O 0.366 0.929 0.221
13 O 0.634 0.071 0.779
14 O 0.779 0.634 0.071

* total energy: -82.608 eV/cell
* energy of formation: -1289 meV per atom

The following is a GGA+U calculation of Li2Co3O6 after structural relaxation, from the Materials Project.

Cell lengths 4.882, 4.882, 5.052 Å; angles 80.68, 80.68, 119.92 degrees
Fractional coordinates of all 11 atoms:
1 Li 0.334 0.666 0.000
2 Li 0.666 0.334 0.000
3 Co 0.500 0.500 0.500
4 Co 0.165 0.835 0.500
5 Co 0.835 0.165 0.500
6 O 0.758 0.758 0.709
7 O 0.563 0.903 0.294
8 O 0.242 0.242 0.291
9 O 0.097 0.437 0.706
10 O 0.903 0.563 0.294
11 O 0.437 0.097 0.706

* total energy: -61.634 eV/cell
* E above lowest polymorph: 0.1378 eV per atom
* energy of formation: -1440 meV per atom

The following is a GGA+U calculation of LiCo8O9 after structural relaxation, from the Materials Project.

Cell lengths 5.215, 5.216, 6.714 Å; angles 75.15, 83.06, 80.76 degrees
Fractional coordinates of all 18 atoms:
1 Li 0.000 0.000 0.000
2 Co 0.222 0.110 0.557
3 Co 0.109 0.555 0.781
4 Co 0.440 0.221 0.108
5 Co 0.334 0.673 0.328
6 Co 0.560 0.779 0.892
7 Co 0.666 0.327 0.672
8 Co 0.778 0.890 0.443
9 Co 0.891 0.445 0.219
10 O 0.112 0.059 0.284
11 O 0.339 0.167 0.830
12 O 0.444 0.720 0.612
13 O 0.226 0.603 0.056
14 O 0.556 0.280 0.388
15 O 0.774 0.397 0.944
16 O 0.661 0.833 0.170
17 O 0.000 0.500 0.500
18 O 0.888 0.941 0.716

* total energy: -107.321 eV/cell
* energy of formation: -1295 meV per atom

The following is a GGA+U calculation of Li2CoO3 after structural relaxation, from the Materials Project.

Cell lengths 5.129, 5.129, 7.889 Å; angles 66.50, 66.50, 33.58 degrees
Fractional coordinates of all 12 atoms:
1 Li 0.500 0.500 0.500
2 Li 0.161 0.161 0.165
3 Li 0.839 0.839 0.835
4 Li 0.500 0.500 0.000
5 Co 0.160 0.160 0.678
6 Co 0.840 0.840 0.322
7 O 0.175 0.175 0.432
8 O 0.825 0.825 0.110
9 O 0.513 0.513 0.743
10 O 0.825 0.825 0.568
11 O 0.487 0.487 0.257
12 O 0.175 0.175 0.890

* total energy: -64.375 eV/cell
* energy of formation: -1686 meV per atom

The following is a GGA+U calculation of Li4CoO4 after structural relaxation, from the Materials Project.

Cell lengths 5.413, 8.948, 16.076 Å; angles 90.00, 90.00, 90.00 degrees
Fractional coordinates of all 72 atoms:
1 Li 0.920 0.947 0.430
2 Li 0.580 0.947 0.930
3 Li 0.139 0.899 0.240
4 Li 0.361 0.899 0.740
5 Li 0.407 0.833 0.514
6 Li 0.093 0.833 0.014
7 Li 0.581 0.828 0.334
8 Li 0.919 0.828 0.834
9 Li 0.419 0.672 0.834
10 Li 0.081 0.672 0.334
11 Li 0.907 0.667 0.514
12 Li 0.593 0.667 0.014
13 Li 0.639 0.601 0.240
14 Li 0.861 0.601 0.740
15 Li 0.080 0.553 0.930
16 Li 0.420 0.553 0.430
17 Li 0.920 0.447 0.070
18 Li 0.580 0.447 0.570
19 Li 0.361 0.399 0.760
20 Li 0.139 0.399 0.260
21 Li 0.407 0.333 0.986
22 Li 0.093 0.333 0.486
23 Li 0.581 0.328 0.166
24 Li 0.919 0.328 0.666
25 Li 0.419 0.172 0.666
26 Li 0.081 0.172 0.166
27 Li 0.907 0.167 0.986
28 Li 0.593 0.167 0.486
29 Li 0.861 0.101 0.760
30 Li 0.639 0.101 0.260
31 Li 0.080 0.053 0.570
32 Li 0.420 0.053 0.070
33 Co 0.810 0.943 0.128
34 Co 0.690 0.943 0.628
35 Co 0.310 0.557 0.128
36 Co 0.190 0.557 0.628
37 Co 0.810 0.443 0.372
38 Co 0.690 0.443 0.872
39 Co 0.310 0.057 0.372
40 Co 0.190 0.057 0.872
41 O 0.141 0.957 0.118
42 O 0.359 0.957 0.618
43 O 0.751 0.872 0.230
44 O 0.749 0.872 0.730
45 O 0.692 0.869 0.033
46 O 0.808 0.869 0.533
47 O 0.287 0.860 0.870
48 O 0.213 0.860 0.370
49 O 0.713 0.640 0.370
50 O 0.787 0.640 0.870
51 O 0.192 0.631 0.033
52 O 0.308 0.631 0.533
53 O 0.251 0.628 0.230
54 O 0.249 0.628 0.730
55 O 0.641 0.543 0.118
56 O 0.859 0.543 0.618
57 O 0.141 0.457 0.382
58 O 0.359 0.457 0.882
59 O 0.749 0.372 0.770
60 O 0.751 0.372 0.270
61 O 0.808 0.369 0.967
62 O 0.692 0.369 0.467
63 O 0.287 0.360 0.630
64 O 0.213 0.360 0.130
65 O 0.787 0.140 0.630
66 O 0.713 0.140 0.130
67 O 0.192 0.131 0.467
68 O 0.308 0.131 0.967
69 O 0.249 0.128 0.770
70 O 0.251 0.128 0.270
71 O 0.859 0.043 0.882
72 O 0.641 0.043 0.382

* total energy: -364.187 eV/cell
* E above lowest polymorph: 0.0788 eV per atom
* energy of formation: -1708 meV per atom

The following is a GGA+U calculation of Li2Co4O5 after structural relaxation, from the Materials Project.

Cell lengths 6.113, 6.113, 10.501 Å; angles 73.55, 73.55, 59.77 degrees
Fractional coordinates of all 33 atoms:
1 Li 0.035 0.035 0.979
2 Li 0.255 0.255 0.902
3 Li 0.919 0.483 0.022
4 Li 0.483 0.919 0.022
5 Li 0.243 0.243 0.702
6 Li 0.839 0.839 0.064
7 Co 0.497 0.497 0.996
8 Co 0.752 0.752 0.757
9 Co 0.758 0.247 0.243
10 Co 0.989 0.989 0.508
11 Co 0.764 0.244 0.756
12 Co 0.247 0.758 0.243
13 Co 0.255 0.255 0.237
14 Co 0.244 0.764 0.756
15 Co 0.999 0.491 0.501
16 Co 0.491 0.999 0.501
17 Co 0.488 0.488 0.508
18 Co 0.722 0.722 0.291
19 O 0.614 0.614 0.632
20 O 0.383 0.870 0.874
21 O 0.870 0.383 0.874
22 O 0.868 0.868 0.376
23 O 0.617 0.124 0.634
24 O 0.144 0.144 0.106
25 O 0.883 0.883 0.874
26 O 0.124 0.617 0.634
27 O 0.878 0.353 0.379
28 O 0.353 0.878 0.379
29 O 0.117 0.117 0.618
30 O 0.159 0.625 0.115
31 O 0.369 0.369 0.380
32 O 0.625 0.159 0.115
33 O 0.638 0.638 0.146

* total energy: -174.330 eV/cell
* energy of formation: -1010 meV per atom

The following is a GGA+U calculation of LiCo2O4 after structural relaxation, from the Materials Project.

Cell lengths 2.887, 5.222, 5.020 Å; angles 101.48, 90.00, 73.95 degrees
Fractional coordinates of all 7 atoms:
1 Li 0.253 0.495 0.259
2 Co 0.007 0.986 0.995
3 Co 0.490 0.019 0.508
4 O 0.892 0.217 0.343
5 O 0.402 0.197 0.898
6 O 0.101 0.798 0.628
7 O 0.606 0.788 0.119

* total energy: -39.252 eV/cell
* E above lowest polymorph: 0.1767 eV per atom
* energy of formation: -1337 meV per atom